Model A:
Density functional theory data (GGA+U) for a relaxed MnP2O7 crystal.

abc: 8.2140 5.0502 13.4195
angles: 75.67 90.00 90.00
With the nearest neighbours (Å) after each atom.
Positions (direct):
Mn: 0.1572 0.3393 0.8728  6 O 1.92-1.97
Mn: 0.8428 0.6607 0.1272  6 O 1.92-1.97
Mn: 0.3428 0.3393 0.3728  6 O 1.92-1.97
Mn: 0.6572 0.6607 0.6272  6 O 1.92-1.97
O: 0.2364 0.9753 0.9334  1 P 1.53
O: 0.8258 0.5374 0.0022  1 P 1.53
O: 0.7364 0.0247 0.5666  1 P 1.53
O: 0.2636 0.9753 0.4334  1 P 1.53
O: 0.5612 0.2072 0.4046  1 P 1.54
O: 0.8637 0.2829 0.4086  2 P 1.59-1.62
O: 0.6270 0.5184 0.1589  1 P 1.51
O: 0.8730 0.5184 0.6589  1 P 1.51
O: 0.4388 0.7928 0.5954  1 P 1.54
O: 0.3730 0.4816 0.8411  1 P 1.51
O: 0.5692 0.3225 0.7157  1 P 1.56
O: 0.1363 0.7171 0.5914  2 P 1.59-1.62
O: 0.0612 0.7928 0.0954  1 P 1.54
O: 0.6328 0.7324 0.7641  1 P 1.56
O: 0.3258 0.4626 0.4978  1 P 1.53
O: 0.1270 0.4816 0.3411  1 P 1.51
O: 0.6742 0.5374 0.5022  1 P 1.53
O: 0.9308 0.3225 0.2157  1 P 1.56
O: 0.7636 0.0247 0.0666  1 P 1.53
O: 0.9388 0.2072 0.9046  1 P 1.54
O: 0.3672 0.2676 0.2359  1 P 1.56
O: 0.4308 0.6775 0.2843  1 P 1.56
O: 0.0692 0.6775 0.7843  1 P 1.56
O: 0.3637 0.7171 0.0914  2 P 1.59-1.62
O: 0.8672 0.7324 0.2641  1 P 1.56
O: 0.1742 0.4626 0.9978  1 P 1.53
O: 0.6363 0.2829 0.9086  2 P 1.59-1.62
O: 0.1328 0.2676 0.7359  1 P 1.56
P: 0.0467 0.5464 0.6917  4 O 1.51-1.59
P: 0.3023 0.7372 0.5250  4 O 1.53-1.62
P: 0.1977 0.7372 0.0250  4 O 1.53-1.62
P: 0.6977 0.2628 0.4750  4 O 1.53-1.62
P: 0.8023 0.2628 0.9750  4 O 1.53-1.62
P: 0.5467 0.4536 0.8083  4 O 1.51-1.59
P: 0.4533 0.5464 0.1917  4 O 1.51-1.59
P: 0.9533 0.4536 0.3083  4 O 1.51-1.59

Values from the calculation:
M_tot ... 0.3000 μB per atom
Crystal system ... monoclinic



Model B:
Density functional theory data (GGA+U) for a relaxed MnP2O7 crystal.

abc: 5.2069 6.2731 9.1041
angles: 102.43 102.62 103.85
With the nearest neighbours (Å) after each atom.
Positions (direct):
O: 0.9304 0.7001 0.1633  1 P 1.54
O: 0.0696 0.2999 0.8367  1 P 1.54
O: 0.5128 0.2442 0.7771  1 P 1.52
O: 0.6098 0.7947 0.9706  1 P 1.52
O: 0.4872 0.7558 0.2229  1 P 1.52
O: 0.9925 0.7213 0.4748  1 P 1.52
O: 0.2733 0.4501 0.3527  1 P 1.52
O: 0.7267 0.5499 0.6473  1 P 1.52
O: 0.0075 0.2787 0.5252  1 P 1.52
O: 0.8713 0.0965 0.2320  2 P 1.59-1.63
O: 0.6734 0.9095 0.5897  1 P 1.56
O: 0.3266 0.0905 0.4103  1 P 1.56
O: 0.3902 0.2053 0.0294  1 P 1.52
O: 0.1287 0.9035 0.7680  2 P 1.59-1.63
P: 0.1213 0.2329 0.3846  4 O 1.52-1.59
P: 0.2885 0.1738 0.8542  4 O 1.52-1.63
P: 0.7115 0.8262 0.1458  4 O 1.52-1.63
P: 0.8787 0.7671 0.6154  4 O 1.52-1.59
Mn: 0.7477 0.2473 0.6427  5 O 1.90-2.06
Mn: 0.2523 0.7527 0.3573  5 O 1.90-2.06

Values from the calculation:
M_tot ... 0.1000 μB per atom
Crystal system ... triclinic



Top of the stability list: model A, leading by 194 meV per atom.